This record from the Materials Project describes a geometry-optimized Mn5CoO12 structure. The functional is PBE with a Hubbard U.

a b c (Å): 5.039 5.039 9.624
angles (deg): 90.00 90.00 120.08
Atoms (fractional coordinates):
Mn: 0.000 0.000 0.000
Mn: 0.167 0.833 0.500
Mn: 0.333 0.667 0.000
Mn: 0.667 0.333 0.000
Mn: 0.833 0.167 0.500
Co: 0.500 0.500 0.500
O: 0.000 0.333 0.100
O: 0.000 0.667 0.900
O: 0.172 0.172 0.402
O: 0.172 0.500 0.599
O: 0.333 0.000 0.100
O: 0.333 0.333 0.900
O: 0.500 0.172 0.599
O: 0.500 0.828 0.401
O: 0.667 0.000 0.900
O: 0.667 0.667 0.100
O: 0.828 0.500 0.401
O: 0.828 0.828 0.598

- formation enthalpy at 0 K (eV/atom) = -1.664